# BaMg6BiO8

A geometry-optimized BaMg6BiO8 structure (PBE, the Materials Project database).

The structure in POSCAR format:
```
BaMg6BiO8
1.0
4.798 0.000 0.000
0.000 4.798 0.000
0.000 0.000 9.439
Ba Mg Bi O
1 6 1 8
Cartesian
0.000 0.000 0.000
0.000 2.399 2.351
0.000 2.399 7.088
2.399 0.000 2.351
2.399 0.000 7.088
2.399 2.399 0.000
2.399 2.399 4.720
0.000 0.000 4.720
0.000 0.000 2.460
0.000 0.000 6.979
0.000 2.399 0.000
0.000 2.399 4.720
2.399 0.000 0.000
2.399 0.000 4.720
2.399 2.399 2.394
2.399 2.399 7.045
```

Summary:
Space-group type: P4/mmm, No. 123
Formation enthalpy at 0 K in eV per formula unit: -35.7
Size of the total moment in μB per cell: 0.0
Corrected total energy (MP2020 scheme) in eV per atom: -5.6657